Record 1
The following is a DFT calculation (GGA+U) of an optimized crystal structure of Li2FeSi4O11.

Cell and atoms, written as CIF:
```
data_Li2FeSi4O11
_cell_length_a 10.673
_cell_length_b 10.673
_cell_length_c 7.750
_cell_angle_alpha 90.00
_cell_angle_beta 90.00
_cell_angle_gamma 90.00
_space_group_name_H-M_alt 'I 4/m'
_space_group_IT_number 87
_space_group_name_Hall '-I 4'
loop_
_atom_site_label
_atom_site_fract_x
_atom_site_fract_y
_atom_site_fract_z
_atom_site_occupancy
Li1 0.122 0.843 0.000 1
Fe1 0.000 0.000 0.259 1
Si1 0.018 0.305 0.304 1
O1 0.000 0.000 0.000 1
O2 0.000 0.000 0.500 1
O3 0.035 0.712 0.500 1
O4 0.064 0.175 0.217 1
O5 0.096 0.636 0.188 1
```

## Properties
Energy of formation: -2752 meV per atom
E above lowest polymorph: 0.00 eV/f.u.
Energy: -7.119 eV per atom
M_tot: 4.0 μB per formula unit

***

Record 2
The following is a DFT calculation (GGA+U) of an optimized crystal structure of La5CoRe3O16.

Cell and atoms, written as CIF:
```
data_La5CoRe3O16
_cell_length_a 5.677
_cell_length_b 5.690
_cell_length_c 20.507
_cell_angle_alpha 93.54
_cell_angle_beta 93.42
_cell_angle_gamma 90.47
_space_group_name_H-M_alt 'P -1'
_space_group_IT_number 2
loop_
_space_group_symop_operation_xyz
'x,y,z'
'-x,-y,-z'
loop_
_atom_site_label
_atom_site_fract_x
_atom_site_fract_y
_atom_site_fract_z
_atom_site_occupancy
La1 0.000 0.000 0.250 1
La2 0.034 0.507 0.103 1
La3 0.035 0.507 0.602 1
La4 0.487 0.972 0.402 1
La5 0.487 0.973 0.901 1
Co1 0.500 0.500 0.000 1
Co2 0.500 0.500 0.500 1
Re1 0.000 0.000 0.000 1
Re2 0.000 0.000 0.500 1
Re3 0.443 0.444 0.803 1
Re4 0.444 0.444 0.303 1
O1 0.070 0.080 0.092 1
O2 0.070 0.080 0.592 1
O3 0.179 0.286 0.482 1
O4 0.179 0.286 0.982 1
O5 0.222 0.694 0.317 1
O6 0.222 0.695 0.817 1
O7 0.224 0.219 0.338 1
O8 0.224 0.219 0.838 1
O9 0.297 0.769 0.182 1
O10 0.297 0.770 0.682 1
O11 0.304 0.811 0.001 1
O12 0.305 0.810 0.500 1
O13 0.311 0.304 0.717 1
O14 0.312 0.304 0.217 1
O15 0.454 0.451 0.600 1
O16 0.455 0.452 0.099 1
```

## Properties
Energy of formation: -2950 meV per atom
Energy: -8.377 eV per atom
M_tot: 1.0 μB per formula unit

***

Record 3
The following is a DFT calculation (GGA+U) of an optimized crystal structure of Ca2MoWO6.

Cell and atoms, written as CIF:
```
data_Ca2MoWO6
_cell_length_a 5.606
_cell_length_b 5.628
_cell_length_c 5.715
_cell_angle_alpha 60.58
_cell_angle_beta 60.68
_cell_angle_gamma 60.80
_space_group_name_H-M_alt 'P -1'
_space_group_IT_number 2
loop_
_space_group_symop_operation_xyz
'x,y,z'
'-x,-y,-z'
loop_
_atom_site_label
_atom_site_fract_x
_atom_site_fract_y
_atom_site_fract_z
_atom_site_occupancy
Ca1 0.246 0.271 0.251 1
Mo1 0.000 0.000 0.000 1
W1 0.500 0.500 0.500 1
O1 0.212 0.306 0.666 1
O2 0.253 0.851 0.265 1
O3 0.293 0.657 0.825 1
```

## Properties
Energy of formation: -2637 meV per atom
E above lowest polymorph: 0.24 eV/f.u.
Energy: -7.211 eV per atom
M_tot: 4.0 μB per formula unit

***

Record 4
The following is a DFT calculation (GGA+U) of an optimized crystal structure of Sm4MgTi2Mn2O12.

Cell and atoms, written as CIF:
```
data_Sm4MgTi2Mn2O12
_cell_length_a 5.571
_cell_length_b 6.163
_cell_length_c 7.812
_cell_angle_alpha 91.52
_cell_angle_beta 90.54
_cell_angle_gamma 94.05
_space_group_name_H-M_alt 'P 1'
_space_group_IT_number 1
loop_
_space_group_symop_operation_xyz
'x,y,z'
loop_
_atom_site_label
_atom_site_fract_x
_atom_site_fract_y
_atom_site_fract_z
_atom_site_occupancy
Sm1 0.000 0.000 0.000 1
Sm2 0.048 0.797 0.505 1
Sm3 0.445 0.355 0.497 1
Sm4 0.546 0.508 0.991 1
Mg1 0.913 0.194 0.403 1
Ti1 0.504 0.922 0.240 1
Ti2 0.986 0.421 0.758 1
Mn1 0.020 0.501 0.166 1
Mn2 0.531 0.921 0.741 1
O1 0.138 0.143 0.646 1
O2 0.167 0.351 0.966 1
O3 0.204 0.086 0.299 1
O4 0.297 0.611 0.684 1
O5 0.321 0.618 0.308 1
O6 0.385 0.871 0.002 1
O7 0.647 0.985 0.479 1
O8 0.690 0.246 0.801 1
O9 0.727 0.233 0.183 1
O10 0.804 0.750 0.186 1
O11 0.829 0.723 0.805 1
O12 0.852 0.466 0.510 1
```

## Properties
Energy of formation: -3145 meV per atom
E above lowest polymorph: 0.40 eV/f.u.
Energy: -8.021 eV per atom
M_tot: 8.0 μB per formula unit

***

Record 5
The following is a DFT calculation (GGA+U) of an optimized crystal structure of Li32Mn13Cr3O48.

Cell and atoms, written as CIF:
```
data_Li32Mn13Cr3O48
_cell_length_a 5.010
_cell_length_b 8.677
_cell_length_c 19.508
_cell_angle_alpha 81.64
_cell_angle_beta 85.15
_cell_angle_gamma 89.90
_space_group_name_H-M_alt 'P 1'
_space_group_IT_number 1
loop_
_space_group_symop_operation_xyz
'x,y,z'
loop_
_atom_site_label
_atom_site_fract_x
_atom_site_fract_y
_atom_site_fract_z
_atom_site_occupancy
Li1 0.000 0.000 0.000 1
Li2 0.000 0.000 0.500 1
Li3 0.117 0.796 0.125 1
Li4 0.119 0.794 0.625 1
Li5 0.125 0.125 0.625 1
Li6 0.126 0.125 0.125 1
Li7 0.129 0.455 0.126 1
Li8 0.133 0.456 0.626 1
Li9 0.248 0.251 0.250 1
Li10 0.250 0.250 0.750 1
Li11 0.366 0.041 0.376 1
Li12 0.368 0.043 0.875 1
Li13 0.375 0.375 0.875 1
Li14 0.375 0.376 0.375 1
Li15 0.381 0.707 0.875 1
Li16 0.383 0.708 0.375 1
Li17 0.497 0.500 0.500 1
Li18 0.500 0.499 0.000 1
Li19 0.620 0.294 0.625 1
Li20 0.621 0.296 0.124 1
Li21 0.624 0.626 0.625 1
Li22 0.627 0.625 0.125 1
Li23 0.632 0.955 0.625 1
Li24 0.633 0.954 0.125 1
Li25 0.750 0.750 0.250 1
Li26 0.750 0.750 0.750 1
Li27 0.869 0.543 0.375 1
Li28 0.869 0.543 0.875 1
Li29 0.875 0.876 0.375 1
Li30 0.878 0.876 0.875 1
Li31 0.882 0.207 0.875 1
Li32 0.884 0.207 0.375 1
Mn1 0.000 0.334 0.000 1
Mn2 0.001 0.333 0.499 1
Mn3 0.001 0.666 0.000 1
Mn4 0.249 0.584 0.750 1
Mn5 0.249 0.915 0.251 1
Mn6 0.250 0.583 0.250 1
Mn7 0.251 0.917 0.750 1
Mn8 0.498 0.835 0.501 1
Mn9 0.501 0.167 0.000 1
Mn10 0.502 0.167 0.500 1
Mn11 0.749 0.084 0.750 1
Mn12 0.751 0.417 0.750 1
Mn13 0.753 0.418 0.249 1
Cr1 0.500 0.831 0.000 1
Cr2 0.743 0.085 0.250 1
Cr3 0.995 0.666 0.500 1
O1 0.052 0.053 0.807 1
O2 0.053 0.052 0.307 1
O3 0.053 0.410 0.806 1
O4 0.054 0.410 0.306 1
O5 0.087 0.731 0.306 1
O6 0.089 0.732 0.806 1
O7 0.162 0.518 0.944 1
O8 0.163 0.515 0.443 1
O9 0.192 0.839 0.943 1
O10 0.198 0.197 0.443 1
O11 0.198 0.198 0.943 1
O12 0.198 0.838 0.444 1
O13 0.303 0.303 0.057 1
O14 0.303 0.303 0.557 1
O15 0.303 0.662 0.056 1
O16 0.305 0.661 0.556 1
O17 0.338 0.982 0.556 1
O18 0.342 0.983 0.056 1
O19 0.411 0.768 0.194 1
O20 0.411 0.769 0.694 1
O21 0.447 0.090 0.694 1
O22 0.448 0.448 0.193 1
O23 0.448 0.448 0.693 1
O24 0.450 0.088 0.194 1
O25 0.548 0.908 0.307 1
O26 0.552 0.553 0.307 1
O27 0.552 0.553 0.807 1
O28 0.553 0.910 0.806 1
O29 0.589 0.232 0.806 1
O30 0.595 0.231 0.306 1
O31 0.659 0.019 0.944 1
O32 0.662 0.019 0.444 1
O33 0.698 0.340 0.444 1
O34 0.698 0.341 0.944 1
O35 0.698 0.700 0.943 1
O36 0.700 0.699 0.443 1
O37 0.799 0.804 0.558 1
O38 0.803 0.160 0.556 1
O39 0.803 0.161 0.056 1
O40 0.808 0.801 0.058 1
O41 0.838 0.482 0.056 1
O42 0.845 0.482 0.556 1
O43 0.911 0.269 0.694 1
O44 0.913 0.273 0.193 1
O45 0.947 0.590 0.694 1
O46 0.948 0.591 0.194 1
O47 0.948 0.948 0.693 1
O48 0.949 0.949 0.193 1
```

## Properties
Energy of formation: -2189 meV per atom
Energy: -6.210 eV per atom
M_tot: 45.0 μB per formula unit

***

Record 6
The following is a DFT calculation (GGA+U) of an optimized crystal structure of BaSr7Ti7MnO24.

Cell and atoms, written as CIF:
```
data_BaSr7Ti7MnO24
_cell_length_a 11.1632
_cell_length_b 11.1632
_cell_length_c 13.6661
_cell_angle_alpha 90.00
_cell_angle_beta 90.00
_cell_angle_gamma 120.00
_space_group_name_H-M_alt 'R 3 m'
_space_group_IT_number 160
_space_group_name_Hall 'R 3 -2"'
loop_
_atom_site_label
_atom_site_fract_x
_atom_site_fract_y
_atom_site_fract_z
_atom_site_occupancy
Ba1 0.0000 0.0000 0.0000 1
Sr1 0.0000 0.0000 0.5028 1
Sr2 0.0018 0.5009 0.5008 1
Sr3 0.1676 0.3352 0.3352 1
Ti1 0.0000 0.0000 0.2526 1
Ti2 0.0020 0.5010 0.2511 1
Ti3 0.1675 0.3350 0.0851 1
Mn1 0.0000 0.0000 0.7503 1
O1 0.0002 0.2493 0.5014 1
O2 0.9997 0.2537 0.0012 1
O3 0.0821 0.1641 0.6686 1
O4 0.0848 0.1695 0.1704 1
O5 0.1664 0.0832 0.3354 1
O6 0.1675 0.0838 0.8309 1
```

## Properties
Energy of formation: -3408 meV per atom
Energy: -7.877 eV per atom
M_tot: 3.0 μB per formula unit